Record 1
# Li3Sb3P4O16

A geometry-optimized Li3Sb3P4O16 structure (PBE, the Materials Project).

a = 9.659 Å, b = 9.118 Å, c = 10.653 Å
α = 107.76°, β = 106.06°, γ = 111.24°
Fractional coordinates of all 52 atoms:
Li  0.439  0.022  0.764
Li  0.433  0.478  0.851
Li  0.350  0.306  0.292
Li  0.650  0.694  0.708
Li  0.567  0.522  0.149
Li  0.561  0.978  0.236
Sb  0.034  0.793  0.554
Sb  0.119  0.875  0.153
Sb  0.070  0.485  0.250
Sb  0.930  0.515  0.750
Sb  0.881  0.125  0.847
Sb  0.966  0.207  0.446
P  0.282  0.566  0.585
P  0.176  0.984  0.922
P  0.270  0.600  0.059
P  0.253  0.072  0.493
P  0.747  0.928  0.507
P  0.730  0.400  0.941
P  0.824  0.016  0.078
P  0.718  0.434  0.415
O  0.043  0.786  0.880
O  0.104  0.505  0.917
O  0.118  0.864  0.412
O  0.118  0.460  0.603
O  0.283  0.740  0.598
O  0.078  0.061  0.849
O  0.245  0.445  0.423
O  0.321  0.798  0.136
O  0.162  0.172  0.545
O  0.230  0.505  0.158
O  0.430  0.583  0.699
O  0.316  0.996  0.884
O  0.400  0.118  0.621
O  0.717  0.902  0.639
O  0.227  0.071  0.094
O  0.596  0.432  0.972
O  0.404  0.568  0.028
O  0.773  0.929  0.906
O  0.283  0.098  0.361
O  0.600  0.882  0.379
O  0.684  0.004  0.116
O  0.570  0.417  0.301
O  0.770  0.495  0.842
O  0.838  0.828  0.455
O  0.679  0.202  0.864
O  0.755  0.555  0.577
O  0.922  0.939  0.151
O  0.717  0.260  0.402
O  0.882  0.540  0.397
O  0.882  0.136  0.588
O  0.896  0.495  0.083
O  0.957  0.214  0.120

Output
Symmetry ... P-1 (2)
Uncorrected energy ... -6.55 eV/atom
M_tot ... 0.01 μB/cell

=====

Record 2
# Li3Sb3P4O16

A geometry-optimized Li3Sb3P4O16 structure (PBE, the Materials Project).

a = 11.309 Å, b = 6.787 Å, c = 9.122 Å
α = 75.05°, β = 90.00°, γ = 90.00°
Fractional coordinates of all 52 atoms:
Li  0.596  0.675  0.084
Li  0.890  0.180  0.080
Li  0.199  0.082  0.348
Li  0.699  0.918  0.652
Li  0.096  0.325  0.916
Li  0.390  0.820  0.920
Sb  0.887  0.610  0.262
Sb  0.612  0.082  0.292
Sb  0.318  0.635  0.325
Sb  0.818  0.365  0.675
Sb  0.387  0.390  0.738
Sb  0.112  0.918  0.708
P  0.369  0.356  0.114
P  0.117  0.865  0.083
P  0.597  0.520  0.406
P  0.915  0.084  0.390
P  0.097  0.480  0.594
P  0.415  0.916  0.610
P  0.869  0.644  0.886
P  0.617  0.135  0.917
O  0.435  0.561  0.079
O  0.807  0.683  0.028
O  0.044  0.058  0.035
O  0.693  0.176  0.048
O  0.041  0.666  0.148
O  0.271  0.370  0.236
O  0.449  0.168  0.191
O  0.639  0.391  0.296
O  0.933  0.296  0.270
O  0.201  0.876  0.219
O  0.875  0.941  0.290
O  0.579  0.734  0.297
O  0.196  0.474  0.477
O  0.481  0.436  0.490
O  0.318  0.902  0.493
O  0.981  0.564  0.510
O  0.038  0.016  0.466
O  0.696  0.526  0.523
O  0.538  0.984  0.534
O  0.818  0.098  0.507
O  0.433  0.704  0.730
O  0.139  0.609  0.704
O  0.771  0.630  0.764
O  0.079  0.266  0.703
O  0.375  0.059  0.710
O  0.541  0.334  0.852
O  0.701  0.124  0.781
O  0.949  0.832  0.809
O  0.307  0.317  0.972
O  0.935  0.439  0.921
O  0.193  0.824  0.952
O  0.544  0.942  0.965

Output
Symmetry ... P2_1 (4)
Uncorrected energy ... -6.58 eV/atom
M_tot ... 0.01 μB/cell

=====

Record 3
# LiSbP4O12

A geometry-optimized LiSbP4O12 structure (PBE, the Materials Project).

a = 7.206 Å, b = 7.206 Å, c = 10.431 Å
α = 78.12°, β = 78.12°, γ = 111.94°
Fractional coordinates of all 36 atoms:
Li  0.859  0.141  0.750
Li  0.141  0.859  0.250
Sb  0.133  0.867  0.750
Sb  0.867  0.133  0.250
P  0.763  0.688  0.551
P  0.270  0.622  0.011
P  0.378  0.730  0.489
P  0.688  0.763  0.051
P  0.312  0.237  0.949
P  0.622  0.270  0.511
P  0.730  0.378  0.989
P  0.237  0.312  0.449
O  0.809  0.906  0.906
O  0.937  0.496  0.875
O  0.811  0.756  0.670
O  0.906  0.809  0.406
O  0.296  0.806  0.896
O  0.496  0.937  0.375
O  0.340  0.475  0.939
O  0.721  0.443  0.583
O  0.756  0.811  0.170
O  0.557  0.279  0.917
O  0.525  0.660  0.561
O  0.806  0.296  0.396
O  0.194  0.704  0.604
O  0.475  0.340  0.439
O  0.443  0.721  0.083
O  0.244  0.189  0.830
O  0.279  0.557  0.417
O  0.660  0.525  0.061
O  0.504  0.063  0.625
O  0.704  0.194  0.104
O  0.094  0.191  0.594
O  0.189  0.244  0.330
O  0.063  0.504  0.125
O  0.191  0.094  0.094

Output
Symmetry ... C2/c (15)
Uncorrected energy ... -6.84 eV/atom
M_tot ... 0.00 μB/cell

=====

Record 4
# Li3Sb2P3O12

A geometry-optimized Li3Sb2P3O12 structure (PBE, the Materials Project).

a = 5.143 Å, b = 5.143 Å, c = 20.095 Å
α = 89.90°, β = 89.90°, γ = 67.08°
Fractional coordinates of all 40 atoms:
Li  0.001  0.001  0.163
Li  0.339  0.339  0.907
Li  0.337  0.337  0.240
Li  0.663  0.663  0.760
Li  0.999  0.999  0.837
Li  0.661  0.661  0.093
Sb  0.000  0.000  0.500
Sb  0.991  0.991  0.325
Sb  0.009  0.009  0.675
Sb  0.000  0.000  0.000
P  0.354  0.354  0.758
P  0.354  0.354  0.085
P  0.356  0.356  0.410
P  0.644  0.644  0.590
P  0.646  0.646  0.915
P  0.646  0.646  0.242
O  0.690  0.236  0.414
O  0.688  0.250  0.756
O  0.689  0.248  0.085
O  0.752  0.311  0.915
O  0.764  0.310  0.586
O  0.750  0.312  0.244
O  0.750  0.750  0.528
O  0.753  0.753  0.855
O  0.749  0.749  0.181
O  0.275  0.275  0.342
O  0.747  0.747  0.306
O  0.736  0.736  0.983
O  0.725  0.725  0.658
O  0.250  0.250  0.472
O  0.253  0.253  0.694
O  0.251  0.251  0.819
O  0.264  0.264  0.017
O  0.247  0.247  0.145
O  0.310  0.764  0.586
O  0.312  0.750  0.244
O  0.311  0.752  0.915
O  0.236  0.690  0.414
O  0.248  0.689  0.085
O  0.250  0.688  0.756

Output
Symmetry ... C2/m (12)
Uncorrected energy ... -6.49 eV/atom
M_tot ... 0.00 μB/cell

=====

Record 5
# Li3Sb3P4O16

A geometry-optimized Li3Sb3P4O16 structure (PBE, the Materials Project).

a = 8.977 Å, b = 9.108 Å, c = 13.375 Å
α = 89.15°, β = 89.70°, γ = 88.62°
Fractional coordinates of all 78 atoms:
Li  0.648  0.469  0.164
Li  0.013  0.530  0.507
Li  0.560  0.160  0.174
Li  0.939  0.669  0.825
Li  0.185  0.003  0.165
Li  0.474  0.993  0.504
Li  0.842  0.968  0.834
Li  0.106  0.829  0.493
Li  0.305  0.506  0.831
Sb  0.790  0.843  0.135
Sb  0.872  0.146  0.530
Sb  0.299  0.660  0.137
Sb  0.635  0.670  0.472
Sb  0.041  0.336  0.199
Sb  0.372  0.342  0.526
Sb  0.716  0.353  0.864
Sb  0.463  0.829  0.798
Sb  0.203  0.162  0.867
P  0.853  0.202  0.057
P  0.994  0.723  0.281
P  0.353  0.295  0.060
P  0.678  0.276  0.384
P  0.490  0.804  0.278
P  0.818  0.798  0.615
P  0.178  0.196  0.390
P  0.509  0.214  0.723
P  0.316  0.702  0.605
P  0.652  0.695  0.948
P  0.014  0.303  0.719
P  0.150  0.794  0.936
O  0.001  0.883  0.240
O  0.834  0.365  0.089
O  0.735  0.100  0.098
O  0.642  0.674  0.064
O  0.839  0.669  0.242
O  0.495  0.369  0.090
O  0.832  0.331  0.422
O  0.653  0.294  0.273
O  0.610  0.901  0.223
O  0.018  0.337  0.607
O  0.928  0.902  0.561
O  0.509  0.638  0.261
O  0.347  0.134  0.091
O  0.833  0.638  0.575
O  0.676  0.115  0.427
O  0.216  0.389  0.110
O  0.176  0.816  0.053
O  0.556  0.377  0.442
O  0.492  0.841  0.390
O  0.886  0.401  0.770
O  0.336  0.848  0.227
O  0.826  0.807  0.728
O  0.656  0.844  0.571
O  0.005  0.871  0.907
O  0.011  0.156  0.102
O  0.332  0.149  0.438
O  0.174  0.163  0.276
O  0.664  0.163  0.765
O  0.115  0.620  0.223
O  0.498  0.175  0.610
O  0.454  0.609  0.555
O  0.861  0.196  0.939
O  0.775  0.593  0.904
O  0.324  0.863  0.577
O  0.163  0.362  0.407
O  0.670  0.858  0.920
O  0.485  0.378  0.740
O  0.057  0.099  0.443
O  0.014  0.701  0.392
O  0.387  0.118  0.779
O  0.338  0.676  0.722
O  0.175  0.630  0.572
O  0.499  0.652  0.897
O  0.163  0.349  0.774
O  0.328  0.319  0.943
O  0.284  0.886  0.885
O  0.159  0.634  0.907
O  0.002  0.138  0.744

Output
Symmetry ... P1 (1)
Uncorrected energy ... -6.56 eV/atom
M_tot ... 0.00 μB/cell

=====

Record 6
# LiSbP4O12

A geometry-optimized LiSbP4O12 structure (PBE, the Materials Project).

a = 13.174 Å, b = 7.359 Å, c = 11.973 Å
α = 54.56°, β = 90.00°, γ = 90.00°
Fractional coordinates of all 72 atoms:
Li  0.721  0.367  0.572
Li  0.221  0.633  0.928
Li  0.779  0.367  0.072
Li  0.279  0.633  0.428
Sb  0.286  0.009  0.508
Sb  0.714  0.991  0.492
Sb  0.786  0.991  0.992
Sb  0.214  0.009  0.008
P  0.103  0.487  0.776
P  0.913  0.080  0.711
P  0.413  0.920  0.789
P  0.386  0.376  0.724
P  0.603  0.513  0.724
P  0.886  0.624  0.776
P  0.897  0.513  0.224
P  0.087  0.920  0.289
P  0.587  0.080  0.211
P  0.869  0.815  0.308
P  0.369  0.185  0.192
P  0.631  0.815  0.808
P  0.397  0.487  0.276
P  0.614  0.624  0.276
P  0.114  0.376  0.224
P  0.131  0.185  0.692
O  0.872  0.578  0.328
O  0.599  0.120  0.321
O  0.288  0.207  0.098
O  0.978  0.825  0.364
O  0.834  0.323  0.251
O  0.401  0.880  0.679
O  0.638  0.002  0.656
O  0.478  0.175  0.136
O  0.928  0.817  0.789
O  0.352  0.569  0.587
O  0.835  0.178  0.600
O  0.022  0.175  0.636
O  0.165  0.822  0.400
O  0.148  0.569  0.087
O  0.185  0.279  0.344
O  0.512  0.561  0.231
O  0.166  0.677  0.749
O  0.901  0.120  0.821
O  0.362  0.998  0.344
O  0.572  0.817  0.289
O  0.315  0.279  0.844
O  0.108  0.276  0.924
O  0.335  0.822  0.900
O  0.212  0.207  0.598
O  0.815  0.721  0.656
O  0.666  0.323  0.751
O  0.862  0.002  0.156
O  0.648  0.431  0.413
O  0.628  0.578  0.828
O  0.892  0.724  0.076
O  0.852  0.431  0.913
O  0.012  0.439  0.269
O  0.988  0.561  0.731
O  0.099  0.880  0.179
O  0.712  0.793  0.902
O  0.072  0.183  0.211
O  0.665  0.178  0.100
O  0.685  0.721  0.156
O  0.488  0.439  0.769
O  0.522  0.825  0.864
O  0.128  0.422  0.672
O  0.428  0.183  0.711
O  0.608  0.724  0.576
O  0.138  0.998  0.844
O  0.392  0.276  0.424
O  0.372  0.422  0.172
O  0.334  0.677  0.249
O  0.788  0.793  0.402

Output
Symmetry ... P2_1/c (14)
Uncorrected energy ... -6.88 eV/atom
M_tot ... 0.00 μB/cell

=====

- Look up the M_tot of the sixth one.
  0.00 μB/cell